No. 1
AgBr, optimized geometry, DFT PBE; calculated formation energy = -0.5970 eV per atom; raw total energy = -2.565 eV per atom; symmetry = Fm-3m
1.0
5.852 0.000 0.000
0.000 5.852 0.000
0.000 0.000 5.852
Ag Br
4 4
Direct
0.000 0.000 0.000
0.000 0.500 0.500
0.500 0.000 0.500
0.500 0.500 0.000
0.000 0.000 0.500
0.000 0.500 0.000
0.500 0.000 0.000
0.500 0.500 0.500


No. 2
Ag2H12C3S3Br2N6, optimized geometry, DFT PBE; spin magnetization = 0.00 μB per cell; calculated formation energy = -0.3980 eV per atom; raw total energy = -5.258 eV per atom; symmetry = P2/c
1.0
4.442 0.000 0.000
0.000 8.407 0.000
-4.230 0.000 21.603
Ag H C S Br N
4 24 6 6 4 12
Direct
0.024 0.057 0.178
0.024 0.943 0.678
0.976 0.057 0.322
0.976 0.943 0.822
0.194 0.389 0.167
0.194 0.611 0.667
0.315 0.433 0.705
0.315 0.567 0.205
0.323 0.115 0.522
0.323 0.885 0.022
0.357 0.382 0.530
0.357 0.618 0.030
0.400 0.474 0.908
0.400 0.526 0.408
0.480 0.011 0.421
0.480 0.989 0.921
0.520 0.011 0.079
0.520 0.989 0.579
0.600 0.474 0.592
0.600 0.526 0.092
0.643 0.382 0.970
0.643 0.618 0.470
0.677 0.115 0.978
0.677 0.885 0.478
0.685 0.433 0.795
0.685 0.567 0.295
0.806 0.389 0.333
0.806 0.611 0.833
0.414 0.229 0.904
0.414 0.771 0.404
0.500 0.367 0.250
0.500 0.633 0.750
0.586 0.229 0.596
0.586 0.771 0.096
0.173 0.217 0.833
0.173 0.783 0.333
0.500 0.160 0.250
0.500 0.840 0.750
0.827 0.217 0.667
0.827 0.783 0.167
0.067 0.256 0.422
0.067 0.744 0.922
0.933 0.256 0.078
0.933 0.744 0.578
0.321 0.446 0.205
0.321 0.554 0.705
0.470 0.101 0.563
0.470 0.899 0.063
0.499 0.373 0.928
0.499 0.627 0.428
0.501 0.373 0.572
0.501 0.627 0.072
0.530 0.101 0.937
0.530 0.899 0.437
0.679 0.446 0.295
0.679 0.554 0.795


No. 3
Ag2C4Br3N, optimized geometry, DFT PBE; spin magnetization = 4.85 μB per cell; calculated formation energy = 1.2380 eV per atom; raw total energy = -4.309 eV per atom; symmetry = Pnma
1.0
14.840 0.000 0.000
0.000 7.112 0.000
0.000 0.000 9.552
Ag C Br N
8 16 12 4
Direct
0.096 0.006 0.099
0.096 0.494 0.099
0.404 0.506 0.599
0.404 0.994 0.599
0.596 0.006 0.401
0.596 0.494 0.401
0.904 0.506 0.901
0.904 0.994 0.901
0.100 0.250 0.490
0.127 0.137 0.618
0.127 0.363 0.618
0.180 0.250 0.406
0.320 0.750 0.906
0.373 0.637 0.118
0.373 0.863 0.118
0.400 0.750 0.990
0.600 0.250 0.010
0.627 0.137 0.882
0.627 0.363 0.882
0.680 0.250 0.094
0.820 0.750 0.594
0.873 0.637 0.382
0.873 0.863 0.382
0.900 0.750 0.510
0.045 0.750 0.871
0.099 0.750 0.292
0.199 0.250 0.978
0.301 0.750 0.478
0.401 0.250 0.792
0.455 0.250 0.371
0.545 0.750 0.629
0.599 0.750 0.208
0.699 0.250 0.522
0.801 0.750 0.022
0.901 0.250 0.708
0.955 0.250 0.129
0.207 0.250 0.551
0.293 0.750 0.051
0.707 0.250 0.949
0.793 0.750 0.449


No. 4
K2CeAgBr6, optimized geometry, DFT PBE; spin magnetization = 1.00 μB per cell; calculated formation energy = -1.8014 eV per atom; raw total energy = -3.562 eV per atom; symmetry = Fm-3m
1.0
0.000 5.741 5.741
5.741 0.000 5.741
5.741 5.741 0.000
K Ce Ag Br
2 1 1 6
Direct
0.250 0.250 0.250
0.750 0.750 0.750
0.000 0.000 0.000
0.500 0.500 0.500
0.252 0.252 0.748
0.252 0.748 0.252
0.252 0.748 0.748
0.748 0.252 0.252
0.748 0.252 0.748
0.748 0.748 0.252


No. 5
Ag4Hg5S5IBrCl2, optimized geometry, DFT PBE; spin magnetization = 0.00 μB per cell; calculated formation energy = -0.4771 eV per atom; raw total energy = -2.513 eV per atom; symmetry = P2
1.0
12.533 0.000 0.000
0.000 4.381 0.000
-0.127 0.000 17.654
Ag Hg S I Br Cl
8 10 10 2 2 4
Direct
0.105 0.000 0.187
0.187 0.556 0.581
0.313 0.711 0.078
0.392 0.254 0.686
0.608 0.254 0.314
0.687 0.711 0.922
0.813 0.556 0.419
0.895 0.000 0.813
0.000 0.479 0.000
0.078 0.127 0.408
0.172 0.504 0.839
0.327 0.754 0.342
0.420 0.133 0.908
0.500 0.784 0.500
0.580 0.133 0.092
0.673 0.754 0.658
0.828 0.504 0.161
0.922 0.127 0.592
0.000 0.466 0.500
0.016 0.494 0.136
0.138 0.750 0.320
0.360 0.507 0.817
0.483 0.766 0.636
0.500 0.796 0.000
0.517 0.766 0.364
0.640 0.507 0.183
0.862 0.750 0.680
0.984 0.494 0.864
0.328 0.251 0.184
0.672 0.251 0.816
0.175 0.002 0.681
0.825 0.002 0.319
0.192 0.985 0.981
0.305 0.279 0.485
0.695 0.279 0.515
0.808 0.985 0.019


No. 6
Ag10Te4BrCl, optimized geometry, DFT PBE; spin magnetization = 0.00 μB per cell; calculated formation energy = -0.1983 eV per atom; raw total energy = -2.934 eV per atom; symmetry = P2_1/c
1.0
14.128 0.000 0.000
0.000 7.744 0.000
-14.111 0.000 14.182
Ag Te Br Cl
40 16 4 4
Direct
0.009 0.126 0.428
0.009 0.374 0.928
0.053 0.706 0.352
0.053 0.794 0.852
0.151 0.196 0.354
0.151 0.304 0.854
0.176 0.626 0.601
0.176 0.874 0.101
0.177 0.063 0.750
0.177 0.437 0.250
0.254 0.007 0.641
0.254 0.493 0.141
0.347 0.629 0.427
0.347 0.871 0.927
0.371 0.144 0.250
0.371 0.356 0.750
0.466 0.008 0.856
0.466 0.492 0.356
0.478 0.624 0.900
0.478 0.876 0.400
0.522 0.124 0.600
0.522 0.376 0.100
0.534 0.508 0.644
0.534 0.992 0.144
0.629 0.644 0.250
0.629 0.856 0.750
0.653 0.129 0.073
0.653 0.371 0.573
0.746 0.507 0.859
0.746 0.993 0.359
0.823 0.563 0.750
0.823 0.937 0.250
0.824 0.126 0.899
0.824 0.374 0.399
0.849 0.696 0.146
0.849 0.804 0.646
0.947 0.206 0.148
0.947 0.294 0.648
0.991 0.626 0.072
0.991 0.874 0.572
0.080 0.217 0.088
0.080 0.283 0.588
0.114 0.712 0.750
0.114 0.788 0.250
0.403 0.214 0.412
0.403 0.286 0.912
0.438 0.736 0.750
0.438 0.764 0.250
0.562 0.236 0.750
0.562 0.264 0.250
0.597 0.714 0.088
0.597 0.786 0.588
0.886 0.212 0.750
0.886 0.288 0.250
0.920 0.717 0.412
0.920 0.783 0.912
0.246 0.025 0.999
0.246 0.475 0.499
0.754 0.525 0.501
0.754 0.975 0.001
0.248 0.518 0.998
0.248 0.982 0.498
0.752 0.018 0.502
0.752 0.482 0.002


No. 7
Cs2InAgBr6, optimized geometry, DFT PBE; spin magnetization = 0.00 μB per cell; calculated formation energy = -1.4772 eV per atom; raw total energy = -2.876 eV per atom; symmetry = Fm-3m
1.0
0.000 5.612 5.612
5.612 0.000 5.612
5.612 5.612 0.000
Cs In Ag Br
2 1 1 6
Direct
0.250 0.250 0.250
0.750 0.750 0.750
0.000 0.000 0.000
0.500 0.500 0.500
0.244 0.244 0.756
0.244 0.756 0.244
0.244 0.756 0.756
0.756 0.244 0.244
0.756 0.244 0.756
0.756 0.756 0.244


No. 8
Cs2AgSbBr6, optimized geometry, DFT PBE; spin magnetization = 0.00 μB per cell; calculated formation energy = -1.4104 eV per atom; raw total energy = -2.947 eV per atom; symmetry = Fm-3m
1.0
0.000 5.689 5.689
5.689 0.000 5.689
5.689 5.689 0.000
Cs Ag Sb Br
2 1 1 6
Direct
0.250 0.250 0.250
0.750 0.750 0.750
0.000 0.000 0.000
0.500 0.500 0.500
0.252 0.252 0.748
0.252 0.748 0.252
0.252 0.748 0.748
0.748 0.252 0.252
0.748 0.252 0.748
0.748 0.748 0.252


No. 9
Cs2TaAgBr6, optimized geometry, DFT PBE; spin magnetization = 2.00 μB per cell; calculated formation energy = -1.3606 eV per atom; raw total energy = -3.671 eV per atom; symmetry = Fm-3m
1.0
0.000 5.547 5.547
5.547 0.000 5.547
5.547 5.547 0.000
Cs Ta Ag Br
2 1 1 6
Direct
0.250 0.250 0.250
0.750 0.750 0.750
0.000 0.000 0.000
0.500 0.500 0.500
0.239 0.239 0.761
0.239 0.761 0.239
0.239 0.761 0.761
0.761 0.239 0.239
0.761 0.239 0.761
0.761 0.761 0.239


No. 10
Cs2YAgBr6, optimized geometry, DFT PBE; spin magnetization = 0.00 μB per cell; calculated formation energy = -1.9082 eV per atom; raw total energy = -3.679 eV per atom; symmetry = Fm-3m
1.0
0.000 5.703 5.703
5.703 0.000 5.703
5.703 5.703 0.000
Cs Y Ag Br
2 1 1 6
Direct
0.250 0.250 0.250
0.750 0.750 0.750
0.000 0.000 0.000
0.500 0.500 0.500
0.246 0.246 0.754
0.246 0.754 0.246
0.246 0.754 0.754
0.754 0.246 0.246
0.754 0.246 0.754
0.754 0.754 0.246


No. 11
FeAgBr4, optimized geometry, DFT PBE; calculated formation energy = -0.8158 eV per atom; raw total energy = -3.435 eV per atom; symmetry = P2_1/c
1.0
7.694 0.000 0.000
0.000 7.277 0.000
-0.724 0.000 14.335
Fe Ag Br
4 4 16
Direct
0.208 0.176 0.400
0.208 0.324 0.900
0.792 0.676 0.100
0.792 0.824 0.600
0.344 0.014 0.635
0.344 0.486 0.135
0.656 0.514 0.865
0.656 0.986 0.365
0.060 0.686 0.187
0.060 0.814 0.687
0.192 0.180 0.046
0.192 0.320 0.546
0.309 0.630 0.928
0.309 0.870 0.428
0.426 0.180 0.813
0.426 0.320 0.313
0.574 0.680 0.687
0.574 0.820 0.187
0.691 0.130 0.572
0.691 0.370 0.072
0.808 0.680 0.454
0.808 0.820 0.954
0.940 0.186 0.313
0.940 0.314 0.813


No. 12
Rb2GaAgBr6, optimized geometry, DFT PBE; spin magnetization = 0.00 μB per cell; calculated formation energy = -1.3982 eV per atom; raw total energy = -2.842 eV per atom; symmetry = Fm-3m
1.0
0.000 5.444 5.444
5.444 0.000 5.444
5.444 5.444 0.000
Rb Ga Ag Br
2 1 1 6
Direct
0.250 0.250 0.250
0.750 0.750 0.750
0.000 0.000 0.000
0.500 0.500 0.500
0.239 0.239 0.761
0.239 0.761 0.239
0.239 0.761 0.761
0.761 0.239 0.239
0.761 0.239 0.761
0.761 0.761 0.239


Copy entry 9 word for word.
Cs2TaAgBr6, optimized geometry, DFT PBE; spin magnetization = 2.00 μB per cell; calculated formation energy = -1.3606 eV per atom; raw total energy = -3.671 eV per atom; symmetry = Fm-3m
1.0
0.000 5.547 5.547
5.547 0.000 5.547
5.547 5.547 0.000
Cs Ta Ag Br
2 1 1 6
Direct
0.250 0.250 0.250
0.750 0.750 0.750
0.000 0.000 0.000
0.500 0.500 0.500
0.239 0.239 0.761
0.239 0.761 0.239
0.239 0.761 0.761
0.761 0.239 0.239
0.761 0.239 0.761
0.761 0.761 0.239


Please write out number 8 again, unchanged.
Cs2AgSbBr6, optimized geometry, DFT PBE; spin magnetization = 0.00 μB per cell; calculated formation energy = -1.4104 eV per atom; raw total energy = -2.947 eV per atom; symmetry = Fm-3m
1.0
0.000 5.689 5.689
5.689 0.000 5.689
5.689 5.689 0.000
Cs Ag Sb Br
2 1 1 6
Direct
0.250 0.250 0.250
0.750 0.750 0.750
0.000 0.000 0.000
0.500 0.500 0.500
0.252 0.252 0.748
0.252 0.748 0.252
0.252 0.748 0.748
0.748 0.252 0.252
0.748 0.252 0.748
0.748 0.748 0.252


> Which formula does entry 7 have?

Cs2InAgBr6